36
Lattice="10.055 0.000 0.000 0.000 11.701 0.000 0.000 0.000 14.847" Properties=species:S:1:pos:R:3 comment="r²SCAN Cs3CoI5, optimized geometry" crystal_system=orthorhombic delta_e_f_mev_per_atom=-1325 pbc="T T T"
Cs 0.828 0.175 2.561
Cs 0.828 5.676 2.561
Cs 0.882 2.925 6.741
Cs 4.145 8.776 14.164
Cs 4.199 6.025 9.985
Cs 4.199 11.526 9.985
Cs 5.856 0.175 4.863
Cs 5.856 5.676 4.863
Cs 5.910 2.925 0.683
Cs 9.173 8.776 8.107
Cs 9.227 6.025 12.286
Cs 9.227 11.526 12.286
Co 1.878 2.925 13.267
Co 3.149 8.776 5.844
Co 6.906 2.925 9.003
Co 8.177 8.776 1.580
I 0.299 8.776 0.175
I 1.394 2.925 10.725
I 1.677 8.776 10.950
I 1.917 6.584 6.454
I 1.917 10.967 6.454
I 3.111 0.734 13.877
I 3.111 5.116 13.877
I 3.351 2.925 3.526
I 3.633 8.776 3.302
I 4.729 2.925 7.599
I 5.326 8.776 7.249
I 6.422 2.925 11.545
I 6.704 8.776 11.321
I 6.944 6.584 0.970
I 6.944 10.967 0.970
I 8.138 0.734 8.394
I 8.138 5.116 8.394
I 8.378 2.925 3.897
I 8.661 8.776 4.122
I 9.756 2.925 14.672


24
Lattice="-3.684 -4.638 -1.633 1.076 -4.623 8.404 -5.820 4.642 6.151" Properties=species:S:1:pos:R:3 comment="r²SCAN CsK2CoO2, optimized geometry" delta_e_f_mev_per_atom=-1227 pbc="T T T"
O -2.496 -3.137 7.015
O -5.929 -1.473 12.055
O -3.568 1.495 4.758
O -1.180 -1.484 3.648
O -5.933 -1.481 5.907
O -4.861 -6.113 8.163
O -2.500 -3.145 0.866
O -7.248 -3.135 9.273
Co -1.840 -2.315 2.257
Co -6.592 -2.312 4.516
Co -1.836 -2.306 8.405
Co -6.589 -2.304 10.664
K -0.382 -3.468 5.330
K -2.223 -5.784 7.588
K -3.295 -1.153 5.332
K -5.138 -3.474 1.442
K -5.134 -3.466 7.589
K -6.206 1.166 5.334
K -8.047 -1.150 7.591
K -3.291 -1.144 11.479
Cs -3.680 -4.629 4.515
Cs 0.000 0.000 0.000
Cs -4.749 0.011 8.407
Cs -4.752 0.002 2.259


30
Lattice="7.254 0.000 0.000 0.000 9.826 0.000 -7.067 0.000 9.860" Properties=species:S:1:pos:R:3 comment="r²SCAN Cs6Co2O7, optimized geometry" crystal_system=monoclinic delta_e_f_mev_per_atom=-1443 pbc="T T T"
Cs -2.582 1.426 4.128
Cs -6.115 3.487 9.058
Cs -1.710 5.178 4.381
Cs -5.243 9.560 9.311
Cs 0.986 2.059 2.802
Cs -2.547 2.854 7.731
Cs 2.735 6.972 2.128
Cs -0.798 7.767 7.058
Cs 5.431 0.265 0.549
Cs 1.897 4.648 5.478
Cs 6.303 6.339 0.802
Cs 2.770 8.400 5.731
Co -3.794 6.241 8.583
Co -0.260 8.498 3.653
Co 0.448 1.328 6.207
Co 3.981 3.585 1.277
O -5.566 6.492 8.451
O -2.033 8.247 3.521
O -3.094 5.768 7.009
O 0.439 8.971 2.079
O 0.558 7.014 4.231
O -2.975 7.725 9.160
O 0.094 0.000 4.930
O 3.627 4.913 0.000
O 3.163 2.101 0.699
O -0.370 2.812 5.629
O -0.251 0.855 7.780
O 3.282 4.058 2.850
O 2.221 1.579 6.339
O 5.754 3.334 1.409


28
Lattice="9.214 0.000 0.000 0.000 5.458 0.000 -0.042 0.000 9.263" Properties=species:S:1:pos:R:3 comment="r²SCAN CsCoPO4, optimized geometry" crystal_system=monoclinic delta_e_f_mev_per_atom=-2173 pbc="T T T"
Cs -0.008 0.000 2.857
Cs 4.515 2.967 7.326
Cs 4.656 0.238 1.937
Cs 9.179 2.729 6.406
Co 1.496 5.455 8.442
Co 2.948 2.949 3.875
Co 6.223 0.220 5.388
Co 7.675 2.727 0.821
P 1.761 2.734 0.869
P 2.810 0.190 5.413
P 6.361 2.919 3.851
P 7.410 0.005 8.394
O 0.314 2.843 1.377
O 1.929 3.601 8.877
O 2.100 1.266 0.549
O 2.157 4.294 5.044
O 2.178 1.276 4.516
O 2.539 0.519 6.887
O 2.713 3.231 1.970
O 4.308 0.107 5.166
O 4.863 2.836 4.097
O 6.458 0.502 7.293
O 6.632 3.248 2.376
O 6.993 4.005 4.747
O 7.014 1.565 4.219
O 7.071 3.995 8.714
O 7.242 0.872 0.386
O 8.857 0.114 7.886


12
Lattice="2.042 -8.030 0.000 2.042 8.030 0.000 0.000 0.000 10.743" Properties=species:S:1:pos:R:3 comment="r²SCAN CsYbCoSe3, optimized geometry" crystal_system=orthorhombic delta_e_f_mev_per_atom=-1459 pbc="T T T"
Cs 2.042 4.176 8.057
Cs 2.042 -4.176 2.686
Yb 2.042 0.000 0.000
Yb 2.042 0.000 5.371
Co 2.042 7.445 2.686
Co 2.042 -7.445 8.057
Se 2.042 6.193 0.638
Se 2.042 6.193 4.733
Se 2.042 0.834 2.686
Se 2.042 -0.834 8.057
Se 2.042 -6.193 6.010
Se 2.042 -6.193 10.104


4
Lattice="0.000 3.314 3.314 3.314 0.000 3.314 3.314 3.314 0.000" Properties=species:S:1:pos:R:3 comment="r²SCAN Lu2CoCu, optimized geometry" crystal_system=cubic delta_e_f_mev_per_atom=-252 pbc="T T T"
Lu 1.657 1.657 1.657
Lu 4.971 4.971 4.971
Co 0.000 0.000 0.000
Cu 3.314 3.314 3.314


4
Lattice="0.000 3.509 3.509 3.509 0.000 3.509 3.509 3.509 0.000" Properties=species:S:1:pos:R:3 comment="r²SCAN Pm2CoCu, optimized geometry" crystal_system=cubic delta_e_f_mev_per_atom=-63 pbc="T T T"
Pm 1.754 1.754 1.754
Pm 5.263 5.263 5.263
Co 0.000 0.000 0.000
Cu 3.509 3.509 3.509


4
Lattice="0.000 3.196 3.196 3.196 0.000 3.196 3.196 3.196 0.000" Properties=species:S:1:pos:R:3 comment="r²SCAN Sc2CoCu, optimized geometry" crystal_system=cubic delta_e_f_mev_per_atom=-252 pbc="T T T"
Sc 1.598 1.598 1.598
Sc 4.794 4.794 4.794
Co 0.000 0.000 0.000
Cu 3.196 3.196 3.196


Calculated VASP energy in order - -893.12; -278.74; -481.15; -345.79; -253.12; -101.25; -83.41; -47.89 eV/cell